Record 1
# MoSO GGA+U optimized geometry
data_MoSO
_cell_length_a 6.336
_cell_length_b 6.336
_cell_length_c 6.572
_cell_angle_alpha 90.00
_cell_angle_beta 90.00
_cell_angle_gamma 90.00
_space_group_name_H-M_alt 'P 4 b m'
_space_group_IT_number 100
loop_
_space_group_symop_operation_xyz
'x,y,z'
'-y,x,z'
'-x,-y,z'
'y,-x,z'
'-x+1/2,y+1/2,z'
'y+1/2,x+1/2,z'
'x+1/2,-y+1/2,z'
'-y+1/2,-x+1/2,z'
loop_
_atom_site_label
_atom_site_type_symbol
_atom_site_fract_x
_atom_site_fract_y
_atom_site_fract_z
Mo1 Mo 0.150 0.350 0.000
S1 S 0.157 0.657 0.255
O1 O 0.147 0.647 0.841
# Total moment = 0.33 μB/atom



Record 2
# Li4Cr3NiP4O16 GGA+U optimized geometry
data_Li4Cr3NiP4O16
_cell_length_a 4.784
_cell_length_b 6.270
_cell_length_c 10.202
_cell_angle_alpha 90.00
_cell_angle_beta 90.44
_cell_angle_gamma 90.00
_space_group_name_H-M_alt 'P 1 m 1'
_space_group_IT_number 6
loop_
_space_group_symop_operation_xyz
'x,y,z'
'x,-y,z'
loop_
_atom_site_label
_atom_site_type_symbol
_atom_site_fract_x
_atom_site_fract_y
_atom_site_fract_z
Li1 Li 0.000 0.245 0.000
Li2 Li 0.508 0.248 0.504
Cr1 Cr 0.050 0.500 0.721
Cr2 Cr 0.457 0.500 0.218
Cr3 Cr 0.955 0.000 0.286
Ni1 Ni 0.519 0.000 0.781
P1 P 0.086 0.000 0.599
P2 P 0.418 0.000 0.095
P3 P 0.586 0.500 0.906
P4 P 0.922 0.500 0.408
O1 O 0.197 0.000 0.455
O2 O 0.228 0.195 0.669
O3 O 0.246 0.500 0.401
O4 O 0.262 0.500 0.900
O5 O 0.286 0.198 0.163
O6 O 0.304 0.000 0.951
O7 O 0.697 0.500 0.051
O8 O 0.715 0.298 0.840
O9 O 0.742 0.000 0.104
O10 O 0.765 0.000 0.605
O11 O 0.787 0.302 0.342
O12 O 0.814 0.500 0.553
# Total moment = 0.50 μB/atom



VASP energy, respectively: -5.92; -6.93 eV per atom.
Volume, respectively: 263.8; 306.0 Å³/cell.
Formation enthalpy at 0 K, respectively: -741.5; -2511.7 meV/atom.